1.
Computed, not measured: Te2Ir after structural relaxation at the PBE-GGA level of DFT.

## Properties
* crystal system: trigonal
* ΔE_f: -0.273 eV per atom
* space-group type: P-3m1 (164)

The structure in POSCAR format:
```
Te2Ir
1.0
3.708 0.041 1.467
-0.628 -1.017 -3.804
0.538 5.307 -1.508
Te Ir
2 1
Direct
0.667 0.333 0.753
0.333 0.667 0.247
0.000 0.000 0.000
```


2.
Computed, not measured: CdPPt5 after structural relaxation at the PBE-GGA level of DFT.

## Properties
* crystal system: tetragonal
* ΔE_f: -0.337 eV per atom
* space-group type: P4/mmm (123)

The structure in POSCAR format:
```
CdPPt5
1.0
3.981 0.000 0.000
0.000 3.981 0.000
0.000 0.000 7.151
Cd P Pt
1 1 5
Direct
0.500 0.500 0.000
0.000 0.000 0.500
0.000 0.500 0.299
0.000 0.500 0.701
0.500 0.000 0.299
0.500 0.000 0.701
0.000 0.000 0.000
```


3.
Computed, not measured: YWN3 after structural relaxation at the PBE-GGA level of DFT.

## Properties
* crystal system: orthorhombic
* ΔE_f: -1.183 eV per atom
* piezoelectric modulus e_max: 0.88 C/m²
* space-group type: Ama2 (40)

The structure in POSCAR format:
```
YWN3
1.0
1.093 6.224 -4.654
-2.508 -1.624 7.257
3.517 0.350 1.294
Y W N
2 2 6
Direct
0.411 0.069 0.250
0.069 0.411 0.750
0.877 0.700 0.750
0.700 0.877 0.250
0.771 0.165 0.250
0.934 0.824 0.250
0.824 0.934 0.750
0.583 0.348 0.750
0.165 0.771 0.750
0.348 0.583 0.250
```


4.
Computed, not measured: ErGePt after structural relaxation at the PBE-GGA level of DFT.

## Properties
* crystal system: orthorhombic
* ΔE_f: -1.133 eV per atom
* space-group type: Pnma (62)

The structure in POSCAR format:
```
ErGePt
1.0
4.364 0.000 0.000
0.000 6.973 0.000
0.000 0.000 7.620
Er Ge Pt
4 4 4
Direct
0.750 0.497 0.796
0.250 0.003 0.296
0.750 0.997 0.704
0.250 0.503 0.204
0.250 0.691 0.590
0.250 0.191 0.910
0.750 0.309 0.410
0.750 0.809 0.090
0.250 0.794 0.916
0.250 0.294 0.584
0.750 0.706 0.416
0.750 0.206 0.084
```


5.
Computed, not measured: SrIn2Te4 after structural relaxation at the PBE-GGA level of DFT.

## Properties
* crystal system: orthorhombic
* ΔE_f: -0.969 eV per atom
* space-group type: Cccm (66)

The structure in POSCAR format:
```
SrIn2Te4
1.0
3.625 -5.966 0.000
3.625 5.966 0.000
0.000 0.000 12.044
Sr In Te
2 4 8
Direct
0.500 0.500 0.250
0.500 0.500 0.750
0.231 0.764 0.500
0.769 0.236 0.500
0.764 0.231 0.000
0.236 0.769 0.000
0.656 0.792 0.500
0.344 0.208 0.500
0.792 0.656 0.000
0.208 0.344 0.000
0.500 0.000 0.183
0.000 0.500 0.317
0.500 0.000 0.817
0.000 0.500 0.683
```


6.
Computed, not measured: ZrSn after structural relaxation at the PBE-GGA level of DFT.

## Properties
* crystal system: hexagonal
* ΔE_f: -0.191 eV per atom
* space-group type: P-6m2 (187)

The structure in POSCAR format:
```
ZrSn
1.0
-0.636 4.917 -4.061
-4.866 -4.076 0.884
-1.800 2.997 3.911
Zr Sn
4 4
Direct
0.999 0.500 0.000
0.500 0.500 0.000
0.500 0.001 0.000
0.333 0.667 0.500
0.000 0.000 0.000
0.338 0.169 0.500
0.831 0.169 0.500
0.831 0.662 0.500
```


7.
Computed, not measured: Nd2UTe4 after structural relaxation at the PBE-GGA level of DFT.

## Properties
* crystal system: tetragonal
* ΔE_f: -1.377 eV per atom
* space-group type: I-42d (122)

The structure in POSCAR format:
```
Nd2UTe4
1.0
-4.745 4.745 4.723
4.745 -4.745 4.723
4.745 4.745 -4.723
Nd U Te
4 2 8
Direct
0.000 0.375 0.125
0.250 0.875 0.875
0.625 0.750 0.625
0.125 0.000 0.375
0.750 0.250 0.500
0.500 0.500 0.000
0.530 0.130 0.751
0.029 0.129 0.749
0.870 0.621 0.400
0.380 0.280 0.251
0.221 0.470 0.600
0.871 0.620 0.900
0.379 0.779 0.249
0.720 0.971 0.100
```


8.
Computed, not measured: SrCeEuNbO6 after structural relaxation at the PBE-GGA level of DFT.

## Properties
* crystal system: tetragonal
* ΔE_f: -3.337 eV per atom
* E above lowest polymorph: 45 meV/atom
* space-group type: P-4n2 (118)

The structure in POSCAR format:
```
SrCeEuNbO6
1.0
-4.321 0.691 -3.894
0.727 -5.530 -1.787
-5.683 -2.634 5.839
Sr Ce Eu Nb O
2 2 2 2 12
Direct
0.500 0.000 0.250
0.000 0.500 0.750
0.000 0.000 0.000
0.500 0.500 0.500
0.000 0.500 0.250
0.500 0.000 0.750
0.000 0.000 0.500
0.500 0.500 0.000
0.000 0.000 0.262
0.500 0.500 0.238
0.000 0.000 0.738
0.500 0.500 0.762
0.340 0.192 0.997
0.660 0.808 0.997
0.808 0.340 0.003
0.192 0.660 0.003
0.840 0.308 0.497
0.160 0.692 0.497
0.308 0.160 0.503
0.692 0.840 0.503
```


9.
Computed, not measured: Na6Sn2Se7 after structural relaxation at the PBE-GGA level of DFT.

## Properties
* crystal system: monoclinic
* ΔE_f: -1.079 eV per atom
* space-group type: C2/c (15)

The structure in POSCAR format:
```
Na6Sn2Se7
1.0
-2.900 -0.413 6.909
-2.669 -6.486 -2.669
10.640 -10.234 6.746
Na Sn Se
12 4 14
Direct
0.573 0.427 0.750
0.751 0.042 0.071
0.958 0.249 0.429
0.500 0.958 0.639
0.042 0.500 0.861
0.500 0.042 0.361
0.958 0.500 0.139
0.500 0.500 0.500
0.500 0.500 0.000
0.249 0.958 0.929
0.427 0.573 0.250
0.042 0.751 0.571
0.753 0.927 0.863
0.073 0.247 0.637
0.927 0.753 0.363
0.247 0.073 0.137
0.686 0.231 0.897
0.049 0.951 0.750
0.769 0.314 0.603
0.752 0.480 0.319
0.231 0.686 0.397
0.864 0.731 0.982
0.269 0.136 0.518
0.136 0.269 0.018
0.731 0.864 0.482
0.480 0.752 0.819
0.248 0.520 0.681
0.520 0.248 0.181
0.951 0.049 0.250
0.314 0.769 0.103
```


10.
Computed, not measured: MnSe after structural relaxation at the PBE-GGA level of DFT.

## Properties
* crystal system: hexagonal
* ΔE_f: -0.582 eV per atom
* space-group type: P6_3/mmc (194)

The structure in POSCAR format:
```
MnSe
1.0
2.365 1.827 2.442
1.416 -1.639 -3.194
-0.848 5.099 -2.993
Mn Se
2 2
Direct
0.000 0.000 0.000
0.000 0.000 0.500
0.333 0.667 0.750
0.667 0.333 0.250
```


11.
Computed, not measured: SrBeO3 after structural relaxation at the PBE-GGA level of DFT.

## Properties
* crystal system: cubic
* ΔE_f: -2.187 eV per atom
* space-group type: Pm-3m (221)

The structure in POSCAR format:
```
SrBeO3
1.0
3.734 0.000 0.000
0.000 3.734 0.000
0.000 0.000 3.734
Sr Be O
1 1 3
Direct
0.000 0.000 0.000
0.500 0.500 0.500
0.500 0.500 0.000
0.500 0.000 0.500
0.000 0.500 0.500
```


12.
Computed, not measured: Sb3Mo after structural relaxation at the PBE-GGA level of DFT.

## Properties
* crystal system: cubic
* ΔE_f: 0.592 eV per atom
* space-group type: Fm-3m (225)

The structure in POSCAR format:
```
Sb3Mo
1.0
0.000 3.547 3.547
3.547 0.000 3.547
3.547 3.547 0.000
Sb Mo
3 1
Direct
0.250 0.250 0.250
0.750 0.750 0.750
0.500 0.500 0.500
0.000 0.000 0.000
```